A plane-wave DFT calculation with PBE was carried out for an optimized crystal structure of CaHfN2.

POSCAR file:
```
CaHfN2
1.0
3.2908 0.0000 0.0000
-1.6454 2.8499 0.0000
0.0000 0.0000 16.8317
Ca Hf N
3 3 6
Direct
0.0000 0.0000 0.0000
0.3333 0.6667 0.6667
0.6667 0.3333 0.3333
0.0000 0.0000 0.5000
0.3333 0.6667 0.1667
0.6667 0.3333 0.8333
0.0000 0.0000 0.2375
0.0000 0.0000 0.7625
0.3333 0.6667 0.4292
0.3333 0.6667 0.9042
0.6667 0.3333 0.0958
0.6667 0.3333 0.5708
```

Formation enthalpy at 0 K ... -1.775 eV per atom
VASP energy ... -8.754 eV/atom
Theoretical density ... 7.78 g/cm³